(1)
# CsCu2Cl3

Crystalline CsCu2Cl3 at its relaxed geometry (r²SCAN, the Materials Project).

Results
- Formation energy: -1.097 eV per atom
- ρ: 3.861 g/cm3

Unit cell a=5.2998 b=7.8101 c=7.8101 alpha=102.90 beta=90.00 gamma=90.00
Sites, in units of the cell vectors:
Cs1 0.7500 0.6899 0.3101
Cu1 0.5000 0.1677 0.1677
Cs2 0.2500 0.3101 0.6899
Cl1 0.7500 0.5986 0.8415
Cl2 0.2500 0.8415 0.5986
Cl3 0.7500 0.1585 0.4014
Cu2 0.0000 0.1677 0.1677
Cu3 0.5000 0.8323 0.8323
Cl4 0.2500 0.4014 0.1585
Cl5 0.7500 0.1047 0.8953
Cl6 0.2500 0.8953 0.1047
Cu4 0.0000 0.8323 0.8323

=====

(2)
# CsDy2Cl7

Crystalline CsDy2Cl7 at its relaxed geometry (r²SCAN, the Materials Project).

Results
- Formation energy: -2.534 eV per atom
- ρ: 3.918 g/cm3

Unit cell a=6.9870 b=12.6654 c=13.5258 alpha=90.00 beta=90.00 gamma=90.00
Sites, in units of the cell vectors:
Cl1 0.0103 0.0381 0.1329
Cl2 0.4910 0.9273 0.6260
Dy1 0.2500 0.1540 0.2489
Cl3 0.7500 0.8084 0.1100
Cl4 0.4901 0.3045 0.1785
Cl5 0.5099 0.8045 0.3215
Dy2 0.2500 0.0424 0.7400
Cl6 0.4901 0.1955 0.6785
Cs1 0.2500 0.8012 0.0399
Dy3 0.7500 0.9576 0.2600
Cl7 0.9910 0.4273 0.8740
Cl8 0.9910 0.0727 0.3740
Cl9 0.0099 0.3045 0.1785
Cl10 0.9897 0.5381 0.3671
Dy4 0.2500 0.4576 0.2400
Dy5 0.7500 0.5424 0.7600
Cl11 0.4910 0.5727 0.1260
Dy6 0.2500 0.3460 0.7489
Cs2 0.2500 0.6988 0.5399
Cl12 0.0090 0.5727 0.1260
Cl13 0.9901 0.8045 0.3215
Cl14 0.4897 0.4619 0.6329
Cl15 0.2500 0.3084 0.3900
Cl16 0.5103 0.9619 0.8671
Cl17 0.0103 0.4619 0.6329
Dy7 0.7500 0.8460 0.7511
Cl18 0.0090 0.9273 0.6260
Cl19 0.5090 0.4273 0.8740
Cl20 0.5099 0.6955 0.8215
Cl21 0.0099 0.1955 0.6785
Cl22 0.9901 0.6955 0.8215
Cl23 0.5090 0.0727 0.3740
Cs3 0.7500 0.1988 0.9601
Dy8 0.7500 0.6540 0.2511
Cl24 0.9897 0.9619 0.8671
Cl25 0.5103 0.5381 0.3671
Cl26 0.7500 0.6916 0.6100
Cl27 0.4897 0.0381 0.1329
Cs4 0.7500 0.3012 0.4601
Cl28 0.2500 0.1916 0.8900

=====

(3)
# Cs2KDyCl6

Crystalline Cs2KDyCl6 at its relaxed geometry (r²SCAN, the Materials Project).

Results
- Formation energy: -2.401 eV per atom
- ρ: 3.238 g/cm3

Unit cell a=7.9014 b=7.9014 c=7.9014 alpha=60.00 beta=60.00 gamma=60.00
Sites, in units of the cell vectors:
Cl1 0.7654 0.2346 0.7654
Cs1 0.2500 0.2500 0.2500
Dy1 0.0000 0.0000 0.0000
Cl2 0.2346 0.2346 0.7654
Cl3 0.7654 0.7654 0.2346
Cs2 0.7500 0.7500 0.7500
Cl4 0.2346 0.7654 0.2346
Cl5 0.2346 0.7654 0.7654
Cl6 0.7654 0.2346 0.2346
K1 0.5000 0.5000 0.5000

=====

(4)
# CsEr2Cl7

Crystalline CsEr2Cl7 at its relaxed geometry (r²SCAN, the Materials Project).

Results
- Formation energy: -2.519 eV per atom
- ρ: 4.032 g/cm3

Unit cell a=6.9318 b=12.5467 c=13.5542 alpha=90.00 beta=90.00 gamma=90.00
Sites, in units of the cell vectors:
Cs1 0.2500 0.7993 0.0389
Er1 0.7500 0.9553 0.2584
Cl1 0.4902 0.4632 0.6335
Cl2 0.4907 0.3026 0.1810
Cl3 0.4914 0.9305 0.6275
Cl4 0.5098 0.5368 0.3665
Cl5 0.0093 0.3026 0.1810
Cs2 0.2500 0.7007 0.5389
Cl6 0.7500 0.6945 0.6100
Cl7 0.5093 0.8026 0.3190
Cl8 0.2500 0.3055 0.3900
Cl9 0.5098 0.9632 0.8665
Cl10 0.2500 0.1945 0.8900
Cl11 0.9902 0.5368 0.3665
Cl12 0.0098 0.0368 0.1335
Cl13 0.5086 0.0695 0.3725
Cl14 0.0098 0.4632 0.6335
Cl15 0.0086 0.5695 0.1275
Er2 0.2500 0.4553 0.2416
Cl16 0.9902 0.9632 0.8665
Cl17 0.5093 0.6974 0.8190
Cs3 0.7500 0.2007 0.9611
Cl18 0.0086 0.9305 0.6275
Cs4 0.7500 0.2993 0.4611
Er3 0.2500 0.1520 0.2494
Cl19 0.9914 0.0695 0.3725
Er4 0.7500 0.5447 0.7584
Cl20 0.7500 0.8055 0.1100
Er5 0.2500 0.0447 0.7416
Er6 0.7500 0.8480 0.7506
Cl21 0.9914 0.4305 0.8725
Cl22 0.4907 0.1974 0.6810
Cl23 0.4902 0.0368 0.1335
Cl24 0.5086 0.4305 0.8725
Er7 0.2500 0.3480 0.7494
Cl25 0.4914 0.5695 0.1275
Er8 0.7500 0.6520 0.2506
Cl26 0.9907 0.8026 0.3190
Cl27 0.0093 0.1974 0.6810
Cl28 0.9907 0.6974 0.8190

=====

Among the records above, which one has the highest formation energy? CsCu2Cl3